No. 1
Material: Ba8Nb7S24
Method: DFT, GGA-PBE
State: optimized geometry

Summary:
- formation enthalpy at 0 K (eV per atom) = -1.7367
- corrected total energy (MP2020 scheme) (eV per formula unit) = -253.067
- total magnetic moment (Bohr magnetons per cell) = 0.03

Lattice parameters (Å, degrees): 11.9710 9.0398 18.7556 71.50 90.00 90.00
Last column: nearest neighbours and their distance in Å.
Element x y z (fractional)
S1 0.9142 0.3700 0.1257  2 Nb 2.50-2.51
S2 0.9141 0.5032 0.7508  2 Nb 2.48-2.55
S3 0.9134 0.2616 0.5016  1 Nb 2.31
S4 0.8297 0.4399 0.9376  2 Nb 2.49-2.51
S5 0.1693 0.3160 0.8138  2 Nb 2.47-2.56
S6 0.9160 0.7534 0.9979  2 Nb 2.49-2.50
S7 0.5858 0.3700 0.6257  2 Nb 2.50-2.51
S8 0.3307 0.3160 0.3138  2 Nb 2.47-2.56
S9 0.4134 0.7384 0.9984  1 Nb 2.31
S10 0.0867 0.1283 0.3692  1 Nb 2.31
S11 0.5866 0.2616 0.0016  1 Nb 2.31
S12 0.6673 0.1893 0.1891  1 Nb 2.42
S13 0.4165 0.0007 0.2520  1 Nb 2.42
S14 0.3327 0.8107 0.8109  1 Nb 2.42
S15 0.5837 0.1238 0.3784  2 Nb 2.47-2.56
S16 0.4141 0.4968 0.7492  2 Nb 2.48-2.55
S17 0.5835 0.9993 0.7480  1 Nb 2.42
S18 0.6729 0.9337 0.9337  1 Nb 2.31
S19 0.6693 0.6840 0.6862  2 Nb 2.47-2.56
S20 0.5840 0.6233 0.8734  1 Nb 2.41
S21 0.0866 0.7384 0.4984  1 Nb 2.31
S22 0.1673 0.8107 0.3109  1 Nb 2.42
S23 0.4163 0.8762 0.6216  2 Nb 2.47-2.56
S24 0.3271 0.0663 0.0663  1 Nb 2.31
S25 0.0859 0.4968 0.2492  2 Nb 2.48-2.55
S26 0.5859 0.5032 0.2508  2 Nb 2.48-2.55
S27 0.3297 0.5601 0.5624  2 Nb 2.49-2.51
S28 0.1729 0.0663 0.5663  1 Nb 2.31
S29 0.8307 0.6840 0.1862  2 Nb 2.47-2.56
S30 0.1703 0.5601 0.0624  2 Nb 2.49-2.51
S31 0.6703 0.4399 0.4376  2 Nb 2.49-2.51
S32 0.0837 0.8762 0.1216  2 Nb 2.47-2.56
S33 0.4133 0.1283 0.8692  1 Nb 2.31
S34 0.8271 0.9337 0.4337  1 Nb 2.31
S35 0.4160 0.3767 0.1266  1 Nb 2.41
S36 0.9163 0.1238 0.8784  2 Nb 2.47-2.56
S37 0.0840 0.3767 0.6266  1 Nb 2.41
S38 0.5840 0.7534 0.4979  2 Nb 2.49-2.50
S39 0.9165 0.9993 0.2480  1 Nb 2.42
S40 0.9133 0.8717 0.6308  1 Nb 2.31
S41 0.9160 0.6233 0.3734  1 Nb 2.41
S42 0.4160 0.2466 0.5021  2 Nb 2.49-2.50
S43 0.8327 0.1893 0.6891  1 Nb 2.42
S44 0.0840 0.2466 0.0021  2 Nb 2.49-2.50
S45 0.0835 0.0007 0.7520  1 Nb 2.42
S46 0.0858 0.6300 0.8743  2 Nb 2.50-2.51
S47 0.5867 0.8717 0.1308  1 Nb 2.31
S48 0.4142 0.6300 0.3743  2 Nb 2.50-2.51
Ba1 0.3273 0.9395 0.4375  12 S 3.39-3.53
Ba2 0.1615 0.4347 0.4382  12 S 3.39-3.53
Ba3 0.6642 0.3070 0.8148  12 S 3.41-3.54
Ba4 0.3358 0.6930 0.1852  12 S 3.41-3.54
Ba5 0.8358 0.3070 0.3148  12 S 3.41-3.54
Ba6 0.1683 0.1835 0.1891  12 S 3.40-3.55
Ba7 0.8273 0.0605 0.0625  12 S 3.39-3.53
Ba8 0.1727 0.9395 0.9375  12 S 3.39-3.53
Ba9 0.8385 0.5653 0.5618  12 S 3.39-3.53
Ba10 0.3385 0.4347 0.9382  12 S 3.39-3.53
Ba11 0.6727 0.0605 0.5625  12 S 3.39-3.53
Ba12 0.8317 0.8165 0.8109  12 S 3.40-3.55
Ba13 0.1642 0.6930 0.6852  12 S 3.41-3.54
Ba14 0.6615 0.5653 0.0618  12 S 3.39-3.53
Ba15 0.3317 0.1835 0.6891  12 S 3.40-3.55
Ba16 0.6683 0.8165 0.3109  12 S 3.40-3.55
Nb1 0.0000 0.1095 0.6103  3 S 2.31
Nb2 0.0002 0.3759 0.8754  6 S 2.47-2.51
Nb3 0.0000 0.8905 0.3897  3 S 2.31
Nb4 0.4998 0.3759 0.3754  6 S 2.47-2.51
Nb5 0.5000 0.1095 0.1103  3 S 2.31
Nb6 0.5002 0.6241 0.6246  6 S 2.47-2.51
Nb7 0.0000 0.7523 0.2528  6 S 2.41-2.56
Nb8 0.9998 0.6241 0.1246  6 S 2.47-2.51
Nb9 0.5000 0.7523 0.7528  6 S 2.41-2.56
Nb10 0.5000 0.2477 0.2472  6 S 2.41-2.56
Nb11 0.0000 0.5000 0.0000  6 S 2.49-2.50
Nb12 0.5000 0.5000 0.5000  6 S 2.49-2.50
Nb13 0.0000 0.2477 0.7472  6 S 2.41-2.56
Nb14 0.5000 0.8905 0.8897  3 S 2.31



No. 2
Material: Ba6Nb5S17
Method: DFT, GGA-PBE
State: optimized geometry

Summary:
- formation enthalpy at 0 K (eV per atom) = -1.7435
- corrected total energy (MP2020 scheme) (eV per formula unit) = -181.157

Lattice parameters (Å, degrees): 8.9388 8.9903 9.0739 83.66 83.93 82.06
Last column: nearest neighbours and their distance in Å.
Element x y z (fractional)
Nb1 0.8259 0.8373 0.8347  6 S 2.43-2.55
Nb2 0.6648 0.6674 0.6591  6 S 2.43-2.56
Nb3 0.1342 0.2001 0.1653  5 S 2.30-2.57
Nb4 0.4808 0.4806 0.4815  3 S 2.31-2.33
Nb5 0.0022 0.9878 0.0018  6 S 2.44-2.59
Ba1 0.2471 0.9082 0.5915  11 S 3.32-3.64
Ba2 0.4152 0.7266 0.0848  11 S 3.32-3.64
Ba3 0.5785 0.2605 0.8969  10 S 3.28-3.51
Ba4 0.7600 0.0881 0.4258  11 S 3.37-3.55
Ba5 0.0944 0.4151 0.7408  12 S 3.35-3.60
Ba6 0.9128 0.5883 0.2612  12 S 3.37-3.65
S1 0.2597 0.4055 0.0760  1 Nb 2.32
S2 0.7389 0.9306 0.0890  2 Nb 2.51-2.55
S3 0.2593 0.0734 0.9377  2 Nb 2.51-2.55
S4 0.7580 0.4190 0.5794  2 Nb 2.43-2.69
S5 0.0839 0.7360 0.9239  2 Nb 2.44-2.54
S6 0.1062 0.9218 0.2474  2 Nb 2.49-2.57
S7 0.5970 0.4162 0.2510  1 Nb 2.33
S8 0.5751 0.9250 0.7542  2 Nb 2.43-2.56
S9 0.0887 0.2351 0.4168  1 Nb 2.32
S10 0.8996 0.2557 0.0759  1 Nb 2.30
S11 0.4165 0.5866 0.7491  2 Nb 2.46-2.68
S12 0.5743 0.7667 0.4165  1 Nb 2.46
S13 0.9239 0.0862 0.7499  2 Nb 2.49-2.53
S14 0.2450 0.5925 0.4186  1 Nb 2.31
S15 0.9210 0.7550 0.5821  2 Nb 2.51-2.53
S16 0.4231 0.2452 0.5887  1 Nb 2.33
S17 0.7541 0.5828 0.9171  2 Nb 2.48-2.56



No. 3
Material: Ba4Nb3Se12
Method: DFT, GGA-PBE
State: optimized geometry

Summary:
- formation enthalpy at 0 K (eV per atom) = -1.4717
- ΔE to the lowest computed polymorph (meV/atom) = 40
- corrected total energy (MP2020 scheme) (eV per formula unit) = -107.892
- total magnetic moment (Bohr magnetons per cell) = 0.12

Lattice parameters (Å, degrees): 6.8939 6.0269 12.7073 89.82 90.00 90.00
Last column: nearest neighbours and their distance in Å.
Element x y z (fractional)
Nb1 0.5000 0.5000 0.5000  6 Se 2.60-2.64
Nb2 0.5000 0.0000 0.5000  6 Se 2.59-2.65
Nb3 0.0000 0.0000 0.0000  6 Se 2.59-2.63
Se1 0.5000 0.2506 0.6712  2 Nb 2.64-2.65
Se2 0.7645 0.7501 0.5842  2 Nb 2.59-2.60
Se3 0.2612 0.7461 0.0845  1 Nb 2.59
Se4 0.0000 0.2506 0.1689  1 Nb 2.63
Se5 0.2355 0.2499 0.4158  2 Nb 2.59-2.60
Se6 0.2355 0.7501 0.5842  2 Nb 2.59-2.60
Se7 0.7645 0.2499 0.4158  2 Nb 2.59-2.60
Se8 0.7388 0.7461 0.0845  1 Nb 2.59
Se9 0.7388 0.2539 0.9155  1 Nb 2.59
Se10 0.0000 0.7494 0.8311  1 Nb 2.63
Se11 0.5000 0.7494 0.3288  2 Nb 2.64-2.65
Se12 0.2612 0.2539 0.9155  1 Nb 2.59
Ba1 0.5000 0.2448 0.1512  12 Se 3.42-3.83
Ba2 0.0000 0.7564 0.3128  12 Se 3.42-3.81
Ba3 0.0000 0.2436 0.6872  12 Se 3.42-3.81
Ba4 0.5000 0.7552 0.8488  12 Se 3.42-3.83



No. 4
Material: Ba4Nb3Se12
Method: DFT, GGA-PBE
State: optimized geometry

Summary:
- formation enthalpy at 0 K (eV per atom) = -1.5120
- ΔE to the lowest computed polymorph (meV/atom) = 0
- corrected total energy (MP2020 scheme) (eV per formula unit) = -108.659
- total magnetic moment (Bohr magnetons per cell) = 0.03

Lattice parameters (Å, degrees): 9.4072 9.4072 12.1236 50.10 50.10 43.66
Last column: nearest neighbours and their distance in Å.
Element x y z (fractional)
Ba1 0.6685 0.6685 0.7007  12 Se 3.50-3.72
Ba2 0.3315 0.3315 0.2993  12 Se 3.50-3.72
Ba3 0.6658 0.6658 0.2095  12 Se 3.50-3.72
Ba4 0.3342 0.3342 0.7905  12 Se 3.50-3.72
Se1 0.8242 0.3416 0.0447  2 Nb 2.60-2.80
Se2 0.1753 0.1753 0.1964  1 Nb 2.46
Se3 0.3416 0.8242 0.0447  2 Nb 2.60-2.80
Se4 0.3526 0.8221 0.5365  1 Nb 2.45
Se5 0.6474 0.1779 0.4635  1 Nb 2.45
Se6 0.6584 0.1758 0.9553  2 Nb 2.60-2.80
Se7 0.8344 0.8344 0.2929  2 Nb 2.60-2.80
Se8 0.1656 0.1656 0.7071  2 Nb 2.60-2.80
Se9 0.8221 0.3526 0.5365  1 Nb 2.45
Se10 0.8247 0.8247 0.8036  1 Nb 2.46
Se11 0.1758 0.6584 0.9553  2 Nb 2.60-2.80
Se12 0.1779 0.6474 0.4635  1 Nb 2.45
Nb1 0.0006 0.0006 0.2802  3 Se 2.45-2.46
Nb2 0.0000 0.0000 0.0000  6 Se 2.60
Nb3 0.9994 0.9994 0.7198  3 Se 2.45-2.46



No. 5
Material: Ba3Nd
Method: DFT, GGA-PBE
State: optimized geometry

Summary:
- formation enthalpy at 0 K (eV per atom) = 0.1811
- ΔE to the lowest computed polymorph (meV/atom) = 0
- total magnetic moment (Bohr magnetons per cell) = 2.13

Lattice parameters (Å, degrees): 8.5270 8.5270 6.7686 90.00 90.00 120.00
Last column: nearest neighbours and their distance in Å.
Element x y z (fractional)
Ba1 0.8274 0.1726 0.7500  8 Ba 4.11-4.41, 4 Nd 4.13-4.26
Ba2 0.1726 0.3451 0.2500  8 Ba 4.11-4.41, 4 Nd 4.13-4.26
Ba3 0.6549 0.8274 0.2500  8 Ba 4.11-4.41, 4 Nd 4.13-4.26
Ba4 0.3451 0.1726 0.7500  8 Ba 4.11-4.41, 4 Nd 4.13-4.26
Ba5 0.8274 0.6549 0.7500  8 Ba 4.11-4.41, 4 Nd 4.13-4.26
Ba6 0.1726 0.8274 0.2500  8 Ba 4.11-4.41, 4 Nd 4.13-4.26
Nd1 0.6667 0.3333 0.2500  12 Ba 4.13-4.26
Nd2 0.3333 0.6667 0.7500  12 Ba 4.13-4.26



No. 6
Material: Ba3Nd
Method: DFT, GGA-PBE
State: optimized geometry

Summary:
- formation enthalpy at 0 K (eV per atom) = 0.1942
- ΔE to the lowest computed polymorph (meV/atom) = 13
- total magnetic moment (Bohr magnetons per cell) = 0.04

Lattice parameters (Å, degrees): 7.3415 7.3415 7.3415 132.42 132.42 69.56
Last column: nearest neighbours and their distance in Å.
Element x y z (fractional)
Nd1 0.0000 0.0000 0.0000  12 Ba 4.19-4.23
Ba1 0.7500 0.2500 0.5000  8 Ba 4.19-4.23, 4 Nd 4.23
Ba2 0.5000 0.5000 0.0000  4 Nd 4.19, 8 Ba 4.23
Ba3 0.2500 0.7500 0.5000  8 Ba 4.19-4.23, 4 Nd 4.23



What is the formula in the first record? Ba8Nb7S24